# Re3Rh

An optimized crystal structure of Re3Rh (GGA-PBE, Materials Project).

Cell lengths 2.7789, 2.7789, 8.8656 Å; angles 90.00, 90.00, 120.00 degrees
Closest atoms and distances in Å follow each position.
Fractional coordinates of all 4 atoms:
Rh  0.6667  0.3333  0.0000  6 Re 2.73, 6 Rh 2.78
Re  0.6667  0.3333  0.5000  12 Re 2.74-2.78
Re  0.3333  0.6667  0.2490  3 Rh 2.73, 9 Re 2.74-2.78
Re  0.3333  0.6667  0.7510  3 Rh 2.73, 9 Re 2.74-2.78

Summary:
Formation enthalpy at 0 K = -70 meV/atom

=====

# Re3Rh

An optimized crystal structure of Re3Rh (GGA-PBE, Materials Project).

Cell lengths 5.5774, 5.5774, 4.3953 Å; angles 90.00, 90.00, 120.00 degrees
Closest atoms and distances in Å follow each position.
Fractional coordinates of all 8 atoms:
Re  0.1606  0.3212  0.2500  8 Re 2.69-2.89, 4 Rh 2.76-2.79
Re  0.8394  0.1606  0.7500  8 Re 2.69-2.89, 4 Rh 2.76-2.79
Rh  0.6667  0.3333  0.2500  12 Re 2.76-2.79
Rh  0.3333  0.6667  0.7500  12 Re 2.76-2.79
Re  0.6788  0.8394  0.2500  8 Re 2.69-2.89, 4 Rh 2.76-2.79
Re  0.1606  0.8394  0.2500  8 Re 2.69-2.89, 4 Rh 2.76-2.79
Re  0.8394  0.6788  0.7500  8 Re 2.69-2.89, 4 Rh 2.76-2.79
Re  0.3212  0.1606  0.7500  8 Re 2.69-2.89, 4 Rh 2.76-2.79

Summary:
Formation enthalpy at 0 K = -151 meV/atom

=====

# UReSi2Ru

An optimized crystal structure of UReSi2Ru (GGA-PBE, Materials Project).

Cell lengths 5.6294, 5.6294, 5.6294 Å; angles 136.45, 136.45, 63.29 degrees
Closest atoms and distances in Å follow each position.
Fractional coordinates of all 5 atoms:
Re  0.2500  0.7500  0.5000  4 Si 2.41
U  0.0000  0.0000  0.0000  4 Ru 3.18, 4 Re 3.18, 8 Si 3.18
Ru  0.7500  0.2500  0.5000  4 Si 2.41
Si  0.6241  0.6241  0.0000  1 Si 2.38, 2 Re 2.41, 2 Ru 2.41
Si  0.3759  0.3759  0.0000  1 Si 2.38, 2 Ru 2.41, 2 Re 2.41

Summary:
Formation enthalpy at 0 K = -476 meV/atom